Record 1
Density functional theory data (PBE with a Hubbard U) for a geometry-optimized Li2VP4O12 structure.

Cell: 7.5706 11.2282 12.9994 Å, 90.00 106.34 90.00°
With the nearest neighbours (Å) after each atom.
Space group P2_1/c (No. 14)
Unique sites:
Li: 0.1400 0.0960 0.2457 (multiplicity 4)  2 O 1.96-2.08
Li: 0.1700 0.0352 0.9879 (multiplicity 4)  2 O 1.98-2.14
V: 0.4838 0.7456 0.1670 (multiplicity 4)  6 O 2.13-2.22
P: 0.1010 0.7435 0.4718 (multiplicity 4)  4 O 1.49-1.62
P: 0.1374 0.1131 0.7014 (multiplicity 4)  4 O 1.49-1.63
P: 0.4507 0.7280 0.4136 (multiplicity 4)  4 O 1.50-1.62
P: 0.4997 0.0418 0.6790 (multiplicity 4)  4 O 1.50-1.63
O: 0.0051 0.6218 0.4509 (multiplicity 4)  1 P 1.54
O: 0.0162 0.0422 0.7512 (multiplicity 4)  1 P 1.49
O: 0.0386 0.1502 0.5773 (multiplicity 4)  2 P 1.60-1.63
O: 0.1975 0.7236 0.0845 (multiplicity 4)  1 P 1.49
O: 0.2225 0.2268 0.7575 (multiplicity 4)  1 P 1.52
O: 0.2318 0.7489 0.3928 (multiplicity 4)  2 P 1.62
O: 0.2892 0.0236 0.6801 (multiplicity 4)  2 P 1.61
O: 0.3885 0.5905 0.7153 (multiplicity 4)  1 P 1.50
O: 0.4271 0.0704 0.3578 (multiplicity 4)  1 P 1.51
O: 0.4691 0.1712 0.9781 (multiplicity 4)  1 P 1.51
O: 0.4727 0.1375 0.5821 (multiplicity 4)  2 P 1.61-1.63
O: 0.4770 0.6650 0.3176 (multiplicity 4)  1 P 1.50

Energy above the most stable polymorph in this dataset ... 0.0486 eV per atom
ΔE_f ... -2.594 eV/atom
V ... 1060.3 Å³/cell
Raw total energy ... -533.103 eV per cell

---

Record 2
Density functional theory data (PBE with a Hubbard U) for a geometry-optimized LiV3P5O19 structure.

Cell: 9.2693 14.2587 6.3529 Å, 90.00 105.57 90.00°
With the nearest neighbours (Å) after each atom.
Space group Cm (No. 8)
Unique sites:
Li: 0.0000 0.0000 0.0000 (multiplicity 2)  4 O 2.96-3.24
V: 0.1695 0.5000 0.3157 (multiplicity 2)  6 O 1.93-1.98
V: 0.2705 0.1221 0.6506 (multiplicity 4)  5 O 1.80-2.00
P: 0.0768 0.5000 0.7757 (multiplicity 2)  4 O 1.55
P: 0.3657 0.1463 0.1992 (multiplicity 4)  4 O 1.51-1.61
P: 0.4028 0.3148 0.4717 (multiplicity 4)  4 O 1.51-1.62
O: 0.0166 0.4040 0.2497 (multiplicity 4)  1 P 1.53
O: 0.0644 0.1622 0.5866 (multiplicity 4)  1 P 1.52
O: 0.1824 0.5000 0.0101 (multiplicity 2)  1 P 1.55
O: 0.1844 0.5000 0.6263 (multiplicity 2)  1 P 1.55
O: 0.2243 0.0000 0.6611 (multiplicity 2)  2 V 1.80
O: 0.2622 0.1105 0.3344 (multiplicity 4)  1 P 1.54
O: 0.2800 0.1436 0.9605 (multiplicity 4)  1 P 1.51
O: 0.3231 0.4050 0.3727 (multiplicity 4)  1 P 1.53
O: 0.3274 0.2594 0.6151 (multiplicity 4)  1 P 1.51
O: 0.4056 0.2545 0.2568 (multiplicity 4)  2 P 1.61-1.62
O: 0.4814 0.0907 0.7334 (multiplicity 4)  1 P 1.55

ΔE_f ... -2.566 eV/atom
V ... 808.8 Å³/cell
Raw total energy ... -407.878 eV per cell

---

Record 3
Density functional theory data (PBE with a Hubbard U) for a geometry-optimized Li7V3P8O29 structure.

Cell: 9.8511 9.8680 13.9109 Å, 89.62 89.84 60.11°
With the nearest neighbours (Å) after each atom.
Space group P1 (No. 1)
Unique sites:
Li: 0.0000 0.0000 0.0000 (multiplicity 1)  3 O 1.94-2.03
Li: 0.0005 0.5888 0.4983 (multiplicity 1)  3 O 1.95-2.07
Li: 0.1301 0.4500 0.0036 (multiplicity 1)  4 O 1.96-2.14
Li: 0.3143 0.9049 0.8768 (multiplicity 1)  3 O 1.93-2.03
Li: 0.3197 0.3552 0.3734 (multiplicity 1)  4 O 1.93-2.10
Li: 0.4500 0.7681 0.3754 (multiplicity 1)  3 O 1.86-2.01
Li: 0.4519 0.3640 0.8797 (multiplicity 1)  3 O 1.95-2.03
Li: 0.5391 0.4554 0.4971 (multiplicity 1)  3 O 1.94-2.02
Li: 0.5510 0.5812 0.0039 (multiplicity 1)  4 O 1.93-2.08
Li: 0.5572 0.0085 0.0579 (multiplicity 1)  3 O 1.92-2.07
Li: 0.5567 0.0091 0.5550 (multiplicity 1)  1 O 1.83
Li: 0.9007 0.3378 0.3206 (multiplicity 1)  3 O 1.91-2.11
Li: 0.9133 0.7634 0.8790 (multiplicity 1)  3 O 1.95-2.03
Li: 0.9207 0.8976 0.3759 (multiplicity 1)  3 O 1.92-1.93
V: 0.2210 0.1116 0.6838 (multiplicity 1)  6 O 1.86-2.02
V: 0.2258 0.2441 0.1892 (multiplicity 1)  6 O 2.02-2.07
V: 0.6563 0.6774 0.1891 (multiplicity 1)  6 O 2.02-2.06
V: 0.6607 0.2427 0.6890 (multiplicity 1)  6 O 1.87-2.02
V: 0.7944 0.6765 0.6917 (multiplicity 1)  6 O 1.85-1.99
V: 0.7959 0.1088 0.1889 (multiplicity 1)  6 O 1.88-2.03
P: 0.1378 0.9954 0.2811 (multiplicity 1)  4 O 1.49-1.63
P: 0.1399 0.4411 0.7815 (multiplicity 1)  4 O 1.50-1.63
P: 0.3146 0.9112 0.0932 (multiplicity 1)  4 O 1.51-1.60
P: 0.3165 0.3569 0.5969 (multiplicity 1)  4 O 1.50-1.61
P: 0.4567 0.7696 0.5959 (multiplicity 1)  4 O 1.50-1.62
P: 0.4598 0.3543 0.0954 (multiplicity 1)  4 O 1.51-1.61
P: 0.5453 0.5894 0.7803 (multiplicity 1)  4 O 1.50-1.60
P: 0.5489 0.4423 0.2819 (multiplicity 1)  4 O 1.51-1.61
P: 0.5571 0.0108 0.8123 (multiplicity 1)  4 O 1.50-1.59
P: 0.5611 0.0122 0.3158 (multiplicity 1)  4 O 1.51-1.61
P: 0.8894 0.3446 0.0616 (multiplicity 1)  4 O 1.49-1.63
P: 0.8917 0.3469 0.5649 (multiplicity 1)  4 O 1.49-1.59
P: 0.9028 0.7687 0.0959 (multiplicity 1)  4 O 1.51-1.61
P: 0.9034 0.9082 0.5961 (multiplicity 1)  4 O 1.48-1.61
P: 0.9926 0.5862 0.2821 (multiplicity 1)  4 O 1.51-1.62
P: 0.9939 0.9955 0.7797 (multiplicity 1)  4 O 1.50-1.61
O: 0.0055 0.6783 0.1890 (multiplicity 1)  2 P 1.61-1.62
O: 0.0111 0.8890 0.6878 (multiplicity 1)  2 P 1.61
O: 0.0363 0.3481 0.1008 (multiplicity 1)  1 P 1.56
O: 0.0402 0.1991 0.6093 (multiplicity 1)  1 P 1.59
O: 0.1098 0.1635 0.2694 (multiplicity 1)  1 P 1.55
O: 0.1294 0.2936 0.7653 (multiplicity 1)  1 P 1.53
O: 0.1419 0.0101 0.7776 (multiplicity 1)  1 P 1.53
O: 0.1463 0.4295 0.2829 (multiplicity 1)  1 P 1.53
O: 0.2156 0.9024 0.1819 (multiplicity 1)  2 P 1.60-1.63
O: 0.2223 0.9289 0.0026 (multiplicity 1)  1 P 1.51
O: 0.2256 0.4340 0.5072 (multiplicity 1)  1 P 1.50
O: 0.2284 0.4349 0.8708 (multiplicity 1)  1 P 1.50
O: 0.2276 0.4628 0.6885 (multiplicity 1)  2 P 1.61-1.63
O: 0.2361 0.9036 0.3641 (multiplicity 1)  1 P 1.49
O: 0.3080 0.3473 0.0933 (multiplicity 1)  1 P 1.53
O: 0.3113 0.9320 0.5978 (multiplicity 1)  1 P 1.53
O: 0.3420 0.1898 0.6127 (multiplicity 1)  1 P 1.55
O: 0.3459 0.0480 0.1097 (multiplicity 1)  1 P 1.55
O: 0.4099 0.0084 0.7711 (multiplicity 1)  1 P 1.57
O: 0.4148 0.1642 0.2791 (multiplicity 1)  1 P 1.56
O: 0.4391 0.6782 0.6884 (multiplicity 1)  2 P 1.60-1.62
O: 0.4455 0.4565 0.1889 (multiplicity 1)  2 P 1.61
O: 0.4700 0.6781 0.8703 (multiplicity 1)  1 P 1.50
O: 0.4725 0.4234 0.3713 (multiplicity 1)  1 P 1.51
O: 0.4718 0.7570 0.0943 (multiplicity 1)  1 P 1.54
O: 0.4734 0.6755 0.5079 (multiplicity 1)  1 P 1.50
O: 0.4778 0.4321 0.0065 (multiplicity 1)  1 P 1.51
O: 0.4796 0.3447 0.5975 (multiplicity 1)  1 P 1.55
O: 0.5552 0.0120 0.9202 (multiplicity 1)  1 P 1.50
O: 0.5554 0.1634 0.7732 (multiplicity 1)  1 P 1.59
O: 0.5553 0.5939 0.2839 (multiplicity 1)  1 P 1.53
O: 0.5589 0.8643 0.2802 (multiplicity 1)  1 P 1.55
O: 0.5610 0.4263 0.7789 (multiplicity 1)  1 P 1.54
O: 0.5725 0.0127 0.4241 (multiplicity 1)  1 P 1.51
O: 0.6015 0.1872 0.1110 (multiplicity 1)  1 P 1.55
O: 0.6009 0.7909 0.6141 (multiplicity 1)  1 P 1.56
O: 0.7061 0.5788 0.7612 (multiplicity 1)  1 P 1.56
O: 0.7121 0.0118 0.2716 (multiplicity 1)  1 P 1.61
O: 0.7119 0.8627 0.7757 (multiplicity 1)  1 P 1.58
O: 0.7162 0.3011 0.2667 (multiplicity 1)  1 P 1.55
O: 0.7354 0.7972 0.1093 (multiplicity 1)  1 P 1.54
O: 0.7366 0.0494 0.6162 (multiplicity 1)  1 P 1.56
O: 0.7373 0.4897 0.0998 (multiplicity 1)  1 P 1.56
O: 0.7416 0.3447 0.6034 (multiplicity 1)  1 P 1.58
O: 0.8444 0.1555 0.7622 (multiplicity 1)  1 P 1.55
O: 0.8544 0.5570 0.2670 (multiplicity 1)  1 P 1.54
O: 0.8883 0.7574 0.6021 (multiplicity 1)  1 P 1.57
O: 0.8900 0.1926 0.1089 (multiplicity 1)  1 P 1.63
O: 0.8908 0.3281 0.9548 (multiplicity 1)  1 P 1.49
O: 0.8935 0.3463 0.4575 (multiplicity 1)  1 P 1.49
O: 0.8951 0.4935 0.6039 (multiplicity 1)  1 P 1.56
O: 0.8976 0.9277 0.0951 (multiplicity 1)  1 P 1.54
O: 0.9751 0.0061 0.2807 (multiplicity 1)  1 P 1.55
O: 0.9755 0.6814 0.3706 (multiplicity 1)  1 P 1.51
O: 0.9765 0.5916 0.7800 (multiplicity 1)  1 P 1.55
O: 0.9758 0.9172 0.5049 (multiplicity 1)  1 P 1.48
O: 0.9818 0.9178 0.8699 (multiplicity 1)  1 P 1.50
O: 0.9834 0.6750 0.0072 (multiplicity 1)  1 P 1.51

Energy above the most stable polymorph in this dataset ... 0.0000 eV per atom
ΔE_f ... -2.693 eV/atom
V ... 1172.4 Å³/cell
Raw total energy ... -657.908 eV per cell

---

The highest ΔE_f belongs to which entry? LiV3P5O19

---

Which formula does entry 1 have? Li2VP4O12